Entry 1:
# Li9Mn2Co5O16 (PBE with a Hubbard U, relaxed)
data_Li9Mn2Co5O16
_symmetry_space_group_name_H-M 'P 1'
_symmetry_Int_Tables_number 1
_symmetry_space_group_name_Hall 'P 1'
_cell_length_a 5.144
_cell_length_b 10.068
_cell_length_c 5.938
_cell_angle_alpha 87.81
_cell_angle_beta 71.12
_cell_angle_gamma 79.17
loop_
_atom_site_label
_atom_site_type_symbol
_atom_site_fract_x
_atom_site_fract_y
_atom_site_fract_z
_atom_site_occupancy
O1 O 0.747 0.698 0.093 1
O2 O 0.277 0.562 0.669 1
O3 O 0.255 0.802 0.406 1
O4 O 0.281 0.057 0.173 1
O5 O 0.241 0.576 0.184 1
O6 O 0.773 0.185 0.043 1
O7 O 0.244 0.307 0.471 1
O8 O 0.227 0.071 0.703 1
O9 O 0.756 0.191 0.594 1
O10 O 0.772 0.933 0.299 1
O11 O 0.716 0.945 0.830 1
O12 O 0.755 0.417 0.803 1
O13 O 0.245 0.299 0.917 1
O14 O 0.722 0.446 0.321 1
O15 O 0.225 0.819 0.952 1
O16 O 0.764 0.694 0.543 1
Co1 Co 0.500 0.876 0.123 1
Co2 Co 0.000 0.252 0.749 1
Co3 Co 0.497 0.621 0.376 1
Co4 Co 0.503 0.379 0.620 1
Co5 Co 0.499 0.125 0.877 1
Li1 Li 0.000 0.501 0.499 1
Li2 Li 0.003 0.498 0.002 1
Li3 Li 0.497 0.381 0.133 1
Li4 Li 0.501 0.622 0.862 1
Li5 Li 0.509 0.872 0.626 1
Li6 Li 0.003 0.740 0.745 1
Li7 Li 0.492 0.125 0.379 1
Li8 Li 0.997 0.259 0.255 1
Li9 Li 0.998 0.003 0.500 1
Mn1 Mn 0.999 0.001 0.000 1
Mn2 Mn 0.001 0.745 0.254 1
# * polymorph energy (0 for the lowest one): 43 meV per atom
# * mass density: 4.20 g cm⁻³
# * calculated formation energy: -176 kJ/mol of atoms
# * symmetry: P1

---

Entry 2:
# LiEu2CoO4 (PBE with a Hubbard U, relaxed)
data_LiEu2CoO4
_symmetry_space_group_name_H-M 'P 1'
_symmetry_Int_Tables_number 1
_symmetry_space_group_name_Hall 'P 1'
_cell_length_a 3.736
_cell_length_b 8.800
_cell_length_c 5.246
_cell_angle_alpha 107.00
_cell_angle_beta 44.58
_cell_angle_gamma 101.98
loop_
_atom_site_label
_atom_site_type_symbol
_atom_site_fract_x
_atom_site_fract_y
_atom_site_fract_z
_atom_site_occupancy
Li1 Li 0.999 0.001 0.501 1
O1 O 0.996 0.384 0.195 1
O2 O 0.998 0.617 0.809 1
O3 O 0.499 0.001 0.001 1
O4 O 0.499 0.001 0.501 1
Eu1 Eu 0.998 0.346 0.675 1
Eu2 Eu 0.997 0.655 0.328 1
Co1 Co 0.999 0.001 0.001 1
# * polymorph energy (0 for the lowest one): 251 meV per atom
# * mass density: 6.22 g cm⁻³
# * calculated formation energy: -217 kJ/mol of atoms
# * symmetry: P1

---

Across the entries above, calculated volume takes the values 8.9 14.5 A^3/atom, respectively.